[1]
# LaTa3O9, relaxed, DFT PBE
# M_tot = 0.00 μB per cell
# formation energy from the elements = -3514 meV per atom
# energy relative to the lowest polymorph listed for this composition = 0.0122 eV/atom
data_LaTa3O9
_cell_length_a 6.6210
_cell_length_b 7.7543
_cell_length_c 12.6782
_cell_angle_alpha 90.00
_cell_angle_beta 90.00
_cell_angle_gamma 90.00
_symmetry_space_group_name_H-M 'P n m a'
_symmetry_Int_Tables_number 62
_symmetry_space_group_name_Hall '-P 2ac 2n'
loop_
_atom_site_label
_atom_site_fract_x
_atom_site_fract_y
_atom_site_fract_z
La1 0.0507 0.2500 0.0268
Ta1 0.0000 0.0000 0.5000
Ta2 0.2167 0.0021 0.7845
O1 0.0263 0.0313 0.6563
O2 0.0629 0.7500 0.5196
O3 0.0913 0.0205 0.1669
O4 0.1902 0.2500 0.8181
O5 0.2065 0.7500 0.7984
O6 0.2141 0.5269 0.9582

[2]
# Mg14MnSi, relaxed, DFT PBE
# M_tot = 7.19 μB per cell
# formation energy from the elements = 66 meV per atom
# energy relative to the lowest polymorph listed for this composition = 0.0000 eV/atom
data_Mg14MnSi
_cell_length_a 10.1549
_cell_length_b 6.2177
_cell_length_c 10.7759
_cell_angle_alpha 90.00
_cell_angle_beta 90.00
_cell_angle_gamma 90.00
_symmetry_space_group_name_H-M 'A m m 2'
_symmetry_Int_Tables_number 38
_symmetry_space_group_name_Hall 'A 2 -2'
loop_
_atom_site_label
_atom_site_fract_x
_atom_site_fract_y
_atom_site_fract_z
Mg1 0.0000 0.0000 0.0000
Mg2 0.0000 0.0000 0.4991
Mg3 0.0000 0.2491 0.2515
Mg4 0.2541 0.0000 0.6645
Mg5 0.2550 0.0000 0.1652
Mg6 0.2643 0.2497 0.4200
Mg7 0.5000 0.2485 0.7474
Mn1 0.5000 0.0000 0.5033
Si1 0.5000 0.0000 0.0036

[3]
# Si2SN2, relaxed, DFT PBE
# M_tot = 0.00 μB per cell
# formation energy from the elements = -222 meV per atom
data_Si2SN2
_cell_length_a 11.3827
_cell_length_b 7.0420
_cell_length_c 5.3464
_cell_angle_alpha 90.00
_cell_angle_beta 116.09
_cell_angle_gamma 90.00
_symmetry_space_group_name_H-M 'C 1 m 1'
_symmetry_Int_Tables_number 8
_symmetry_space_group_name_Hall 'C -2y'
loop_
_atom_site_label
_atom_site_fract_x
_atom_site_fract_y
_atom_site_fract_z
Si1 0.0000 0.1608 0.0000
Si2 0.2343 0.1615 0.5340
S1 0.0531 0.5000 0.3985
S2 0.1423 0.0000 0.8706
N1 0.1051 0.2968 0.2936
N2 0.3744 0.2428 0.7465

[4]
# U2TiS5, relaxed, DFT PBE
# M_tot = 23.60 μB per cell
# formation energy from the elements = -1698 meV per atom
data_U2TiS5
_cell_length_a 11.1484
_cell_length_b 7.6845
_cell_length_c 7.1371
_cell_angle_alpha 90.00
_cell_angle_beta 90.00
_cell_angle_gamma 90.00
_symmetry_space_group_name_H-M 'P n m a'
_symmetry_Int_Tables_number 62
_symmetry_space_group_name_Hall '-P 2ac 2n'
loop_
_atom_site_label
_atom_site_fract_x
_atom_site_fract_y
_atom_site_fract_z
U1 0.1797 0.0022 0.0310
Ti1 0.0049 0.7500 0.5792
S1 0.0038 0.7500 0.9523
S2 0.0858 0.0359 0.6645
S3 0.1817 0.7500 0.3388
S4 0.2068 0.2500 0.3173

[5]
# LiGa2Ir, relaxed, DFT PBE
# formation energy from the elements = -501 meV per atom
data_LiGa2Ir
_cell_length_a 6.1011
_cell_length_b 6.1011
_cell_length_c 6.1011
_cell_angle_alpha 90.00
_cell_angle_beta 90.00
_cell_angle_gamma 90.00
_symmetry_space_group_name_H-M 'F m -3 m'
_symmetry_Int_Tables_number 225
_symmetry_space_group_name_Hall '-F 4 2 3'
loop_
_atom_site_label
_atom_site_fract_x
_atom_site_fract_y
_atom_site_fract_z
Li1 0.0000 0.0000 0.0000
Ga1 0.2500 0.2500 0.2500
Ir1 0.0000 0.0000 0.5000

[6]
# Li2MgSi, relaxed, DFT PBE
# M_tot = 0.01 μB per cell
# formation energy from the elements = -203 meV per atom
data_Li2MgSi
_cell_length_a 12.7079
_cell_length_b 12.7079
_cell_length_c 12.7079
_cell_angle_alpha 90.00
_cell_angle_beta 90.00
_cell_angle_gamma 90.00
_symmetry_space_group_name_H-M 'F m -3 m'
_symmetry_Int_Tables_number 225
_symmetry_space_group_name_Hall '-F 4 2 3'
loop_
_atom_site_label
_atom_site_fract_x
_atom_site_fract_y
_atom_site_fract_z
Li1 0.0000 0.0000 0.2190
Li2 0.1256 0.1256 0.1256
Li3 0.2500 0.2500 0.2500
Mg1 0.1257 0.1257 0.3743
Si1 0.0000 0.0000 0.0000
Si2 0.0000 0.0000 0.5000
Si3 0.0000 0.2500 0.2500

[7]
# Ni5Ge2P3, relaxed, DFT PBE
# M_tot = 0.00 μB per cell
# formation energy from the elements = -376 meV per atom
data_Ni5Ge2P3
_cell_length_a 4.9945
_cell_length_b 34.8938
_cell_length_c 5.9789
_cell_angle_alpha 90.00
_cell_angle_beta 90.00
_cell_angle_gamma 90.00
_symmetry_space_group_name_H-M 'P b c a'
_symmetry_Int_Tables_number 61
_symmetry_space_group_name_Hall '-P 2ac 2ab'
loop_
_atom_site_label
_atom_site_fract_x
_atom_site_fract_y
_atom_site_fract_z
Ni1 0.0023 0.0649 0.2116
Ni2 0.0034 0.6739 0.2004
Ni3 0.0112 0.0245 0.7967
Ni4 0.0156 0.7141 0.7915
Ni5 0.0273 0.6275 0.7971
Ge1 0.2092 0.6217 0.4127
Ge2 0.2190 0.7279 0.4065
P1 0.1810 0.1720 0.9367
P2 0.1898 0.0222 0.4334
P3 0.2037 0.5729 0.9295

[8]
# Rh2O3, relaxed, DFT PBE
# formation energy from the elements = -1071 meV per atom
data_Rh2O3
_cell_length_a 7.3758
_cell_length_b 5.2600
_cell_length_c 5.4530
_cell_angle_alpha 90.00
_cell_angle_beta 90.00
_cell_angle_gamma 90.00
_symmetry_space_group_name_H-M 'P b c n'
_symmetry_Int_Tables_number 60
_symmetry_space_group_name_Hall '-P 2n 2ab'
loop_
_atom_site_label
_atom_site_fract_x
_atom_site_fract_y
_atom_site_fract_z
Rh1 0.1073 0.2503 0.0301
O1 0.0000 0.0501 0.7500
O2 0.1511 0.3928 0.3880

[9]
# Cs3InCl6, relaxed, DFT PBE
# M_tot = 0.00 μB per cell
# formation energy from the elements = -2014 meV per atom
data_Cs3InCl6
_cell_length_a 11.6310
_cell_length_b 11.6310
_cell_length_c 11.6310
_cell_angle_alpha 90.00
_cell_angle_beta 90.00
_cell_angle_gamma 90.00
_symmetry_space_group_name_H-M 'F m -3 m'
_symmetry_Int_Tables_number 225
_symmetry_space_group_name_Hall '-F 4 2 3'
loop_
_atom_site_label
_atom_site_fract_x
_atom_site_fract_y
_atom_site_fract_z
Cs1 0.0000 0.0000 0.0000
Cs2 0.2500 0.2500 0.2500
In1 0.0000 0.0000 0.5000
Cl1 0.0000 0.0000 0.2808

[10]
# Na5B2P3O13, relaxed, DFT PBE
# M_tot = 0.00 μB per cell
# formation energy from the elements = -2687 meV per atom
data_Na5B2P3O13
_cell_length_a 6.7926
_cell_length_b 11.7468
_cell_length_c 7.7769
_cell_angle_alpha 90.00
_cell_angle_beta 115.10
_cell_angle_gamma 90.00
_symmetry_space_group_name_H-M 'P 1 21 1'
_symmetry_Int_Tables_number 4
_symmetry_space_group_name_Hall 'P 2yb'
loop_
_atom_site_label
_atom_site_fract_x
_atom_site_fract_y
_atom_site_fract_z
Na1 0.0250 0.0000 0.4923
Na2 0.1197 0.2295 0.2782
Na3 0.1478 0.7226 0.2673
Na4 0.4011 0.5947 0.9647
Na5 0.4518 0.4988 0.4880
B1 0.2888 0.3179 0.0016
B2 0.3675 0.8667 0.0039
P1 0.9998 0.4816 0.0110
P2 0.3419 0.2540 0.6934
P3 0.3440 0.7676 0.6796
O1 0.0108 0.5538 0.8533
O2 0.0784 0.3538 0.9972
O3 0.1281 0.5269 0.2105
O4 0.2316 0.2356 0.8372
O5 0.2378 0.8031 0.8212
O6 0.2417 0.3534 0.5599
O7 0.2485 0.9635 0.0301
O8 0.2539 0.6511 0.5975
O9 0.3080 0.8597 0.5329
O10 0.3350 0.1414 0.5944
O11 0.4046 0.2489 0.1819
O12 0.4100 0.7790 0.1614
O13 0.4294 0.4063 0.9924

[11]
# Ni9S10, relaxed, DFT PBE
# M_tot = 0.03 μB per cell
# formation energy from the elements = -549 meV per atom
data_Ni9S10
_cell_length_a 5.9488
_cell_length_b 6.1386
_cell_length_c 7.7925
_cell_angle_alpha 100.30
_cell_angle_beta 111.15
_cell_angle_gamma 90.94
_symmetry_space_group_name_H-M 'P -1'
_symmetry_Int_Tables_number 2
_symmetry_space_group_name_Hall '-P 1'
loop_
_atom_site_label
_atom_site_fract_x
_atom_site_fract_y
_atom_site_fract_z
Ni1 0.0000 0.0000 0.0000
Ni2 0.0971 0.6887 0.1870
Ni3 0.1841 0.3961 0.4007
Ni4 0.3136 0.1030 0.6138
Ni5 0.4133 0.7791 0.8117
S1 0.0233 0.9531 0.6987
S2 0.1867 0.4479 0.7022
S3 0.2109 0.3476 0.1085
S4 0.3771 0.8642 0.0968
S5 0.4180 0.7481 0.5032